(1)
VASP calculation (PBE) on Tb4Sb6Rh7 after structural relaxation.

Lattice parameters (Å, degrees): 8.808 8.808 8.808 90.00 90.00 90.00
Space group Im-3m (No. 229)
One atom of each set of equivalent atoms:
Tb 0.250 0.250 0.250
Sb 0.000 0.000 0.317
Rh 0.000 0.000 0.000
Rh 0.000 0.250 0.500

Calculated values
DFT total energy, eV/cell: -219.81



(2)
VASP calculation (PBE) on TmSbRh2 after structural relaxation.

Lattice parameters (Å, degrees): 6.620 6.620 6.620 90.00 90.00 90.00
Space group Fm-3m (No. 225)
One atom of each set of equivalent atoms:
Tm 0.000 0.000 0.000
Sb 0.000 0.000 0.500
Rh 0.250 0.250 0.250

Calculated values
DFT total energy, eV/cell: -105.44



(3)
VASP calculation (PBE) on U3Sb4Rh3 after structural relaxation.

Lattice parameters (Å, degrees): 9.598 9.598 9.598 90.00 90.00 90.00
Space group I-43d (No. 220)
One atom of each set of equivalent atoms:
U 0.000 0.250 0.375
Sb 0.088 0.088 0.088
Rh 0.000 0.250 0.875

Calculated values
DFT total energy, eV/cell: -310.97



(4)
VASP calculation (PBE) on VSbRh after structural relaxation.

Lattice parameters (Å, degrees): 6.084 6.084 6.084 90.00 90.00 90.00
Space group F-43m (No. 216)
One atom of each set of equivalent atoms:
V 0.000 0.000 0.000
Sb 0.000 0.000 0.500
Rh 0.250 0.250 0.750

Calculated values
DFT total energy, eV/cell: -86.03



(5)
VASP calculation (PBE) on ScRh3 after structural relaxation.

Lattice parameters (Å, degrees): 3.940 3.940 3.940 90.00 90.00 90.00
Space group Pm-3m (No. 221)
One atom of each set of equivalent atoms:
Sc 0.000 0.000 0.000
Rh 0.000 0.500 0.500

Calculated values
DFT total energy, eV/cell: -30.85



(6)
VASP calculation (PBE) on ScSiRh2 after structural relaxation.

Lattice parameters (Å, degrees): 6.175 6.175 6.175 90.00 90.00 90.00
Space group Fm-3m (No. 225)
One atom of each set of equivalent atoms:
Sc 0.000 0.000 0.000
Si 0.000 0.000 0.500
Rh 0.250 0.250 0.250

Calculated values
DFT total energy, eV/cell: -120.81



(7)
VASP calculation (PBE) on Sc3Si3Rh after structural relaxation.

Lattice parameters (Å, degrees): 11.721 4.030 10.248 90.00 90.00 90.00
Space group Pnma (No. 62)
One atom of each set of equivalent atoms:
Sc 0.020 0.250 0.123
Sc 0.102 0.250 0.421
Sc 0.201 0.750 0.659
Si 0.045 0.250 0.693
Si 0.158 0.750 0.250
Si 0.177 0.750 0.015
Rh 0.178 0.250 0.889

Calculated values
DFT total energy, eV/cell: -197.63



(8)
VASP calculation (PBE) on ScSiRh after structural relaxation.

Lattice parameters (Å, degrees): 6.530 4.078 7.287 90.00 90.00 90.00
Space group Pnma (No. 62)
One atom of each set of equivalent atoms:
Sc 0.009 0.250 0.189
Si 0.215 0.750 0.385
Rh 0.157 0.250 0.563

Calculated values
DFT total energy, eV/cell: -89.83



(9)
VASP calculation (PBE) on RhSe2 after structural relaxation.

Lattice parameters (Å, degrees): 21.223 3.789 6.029 90.00 90.00 90.00
Space group Pnma (No. 62)
One atom of each set of equivalent atoms:
Rh 0.076 0.250 0.072
Rh 0.195 0.750 0.556
Se 0.008 0.750 0.224
Se 0.121 0.250 0.453
Se 0.140 0.750 0.928
Se 0.237 0.750 0.179

Calculated values
DFT total energy, eV/cell: -125.12



(10)
VASP calculation (PBE) on RhSe2 after structural relaxation.

Lattice parameters (Å, degrees): 6.100 6.100 6.100 90.00 90.00 90.00
Space group Pa-3 (No. 205)
One atom of each set of equivalent atoms:
Rh 0.000 0.000 0.000
Se 0.122 0.622 0.878

Calculated values
DFT total energy, eV/cell: -62.15



(11)
VASP calculation (PBE) on Rh2Se3 after structural relaxation.

Lattice parameters (Å, degrees): 9.029 6.401 6.529 90.00 90.00 90.00
Space group Pbcn (No. 60)
One atom of each set of equivalent atoms:
Rh 0.108 0.248 0.032
Se 0.000 0.455 0.750
Se 0.151 0.110 0.395

Calculated values
DFT total energy, eV/cell: -108.99



(12)
VASP calculation (PBE) on U12Rh4Se31 after structural relaxation.

Lattice parameters (Å, degrees): 13.685 13.685 13.715 90.00 90.00 90.00
Space group I4/mmm (No. 139)
One atom of each set of equivalent atoms:
U 0.000 0.296 0.205
U 0.200 0.200 0.000
Rh 0.250 0.250 0.250
Se 0.000 0.000 0.000
Se 0.000 0.263 0.000
Se 0.000 0.500 0.250
Se 0.126 0.126 0.186
Se 0.128 0.310 0.373

Calculated values
DFT total energy, eV/cell: -643.19